# SrY

An optimized crystal structure of SrY (PBE-GGA, Materials Project).

Output
ΔE_f   0.23 eV/atom
Calculated volume   81 Å³/cell

a b c (Å): 3.8281 3.8281 6.3797
angles (deg): 90.00 90.00 120.00
Closest atoms and distances in Å follow each position.
Space group P-6m2 (No. 187)
Unique sites:
Sr: 0.0000 0.0000 0.0000 x1  6 Sr 3.83, 6 Y 3.88
Y: 0.6667 0.3333 0.5000 x1  6 Y 3.83, 6 Sr 3.88



# SrZn2

An optimized crystal structure of SrZn2 (PBE-GGA, Materials Project).

Output
ΔE_f   -0.24 eV/atom
Calculated volume   292 Å³/cell

a b c (Å): 4.7804 7.8008 7.8418
angles (deg): 90.00 90.00 90.00
Closest atoms and distances in Å follow each position.
Space group Imma (No. 74)
Unique sites:
Sr: 0.0000 0.2500 0.0489 x4  12 Zn 3.26-3.54
Zn: 0.0000 0.0632 0.6650 x8  4 Zn 2.74-2.91